1.
Na3Hg2 | GGA-PBE | relaxed

Output
E above lowest polymorph = 0.00 kcal/mol of atoms

Unit cell a=8.5444 b=8.5444 c=7.9258 alpha=90.00 beta=90.00 gamma=90.00
Space group P4_2/mnm (No. 136)
Asymmetric unit:
Na1 0.0000 0.5000 0.2500 (multiplicity 4)
Na2 0.1415 0.1415 0.0000 (multiplicity 4)
Na3 0.2063 0.2063 0.5000 (multiplicity 4)
Hg1 0.1268 0.8732 0.3062 (multiplicity 8)

---

2.
K3Ti4Ge3O20 | GGA-PBE | relaxed

Output
spin magnetization = 6.996 μB per formula unit

Unit cell a=11.2091 b=11.2091 c=7.9492 alpha=90.00 beta=90.00 gamma=90.00
Space group P-4b2 (No. 117)
Asymmetric unit:
K1 0.0000 0.5000 0.0000 (multiplicity 2)
K2 0.2351 0.2649 0.5000 (multiplicity 4)
Ti1 0.0092 0.8550 0.8551 (multiplicity 8)
Ge1 0.0000 0.0000 0.5000 (multiplicity 2)
Ge2 0.2301 0.2699 0.0000 (multiplicity 4)
O1 0.0038 0.8680 0.6197 (multiplicity 8)
O2 0.0133 0.8860 0.1116 (multiplicity 8)
O3 0.0525 0.6975 0.2399 (multiplicity 8)
O4 0.0992 0.2712 0.8768 (multiplicity 8)
O5 0.1508 0.7609 0.8560 (multiplicity 8)

---

3.
GdMgZn2 | GGA-PBE | relaxed

Unit cell a=6.8959 b=6.8959 c=6.8959 alpha=90.00 beta=90.00 gamma=90.00
Space group Fm-3m (No. 225)
Asymmetric unit:
Gd1 0.0000 0.0000 0.0000 (multiplicity 4)
Mg1 0.0000 0.0000 0.5000 (multiplicity 4)
Zn1 0.2500 0.2500 0.2500 (multiplicity 8)

---

Per-record energy of formation, kcal/mol of atoms: -4.89 -49.01 -7.70
Per-record electronic total energy, eV/atom: -1.13 -6.59 -4.88